No. 1
Rb2LiScF6: optimized geometry, GGA-PBE.

Cell and atoms, written as POSCAR:
```
Rb2LiScF6
1.0
0.0000 4.2335 4.2335
4.2335 0.0000 4.2335
4.2335 4.2335 0.0000
Rb Li Sc F
2 1 1 6
direct
0.2500 0.2500 0.2500
0.7500 0.7500 0.7500
0.5000 0.5000 0.5000
0.0000 0.0000 0.0000
0.2419 0.2419 0.7581
0.2419 0.7581 0.7581
0.7581 0.7581 0.2419
0.2419 0.7581 0.2419
0.7581 0.2419 0.7581
0.7581 0.2419 0.2419
```

Output
calculated volume: 151.75 Å³ per cell
crystal system: cubic
total DFT energy (no corrections): -54.75 eV per cell
E_form: -3.583 eV per atom
magnetization: 0.00 μB per formula unit
E (MP2020): -57.5 eV/cell

---

No. 2
DyNi4Sn: optimized geometry, GGA-PBE.

Cell and atoms, written as POSCAR:
```
DyNi4Sn
1.0
-0.6240 -3.9824 -0.0412
3.1019 -0.3997 -8.3434
5.5836 -0.9461 6.8791
Dy Ni Sn
3 12 3
direct
0.0000 0.0000 0.0000
0.5000 0.6667 0.3333
0.5000 0.3333 0.6667
0.0000 0.8226 0.1774
0.0000 0.1774 0.8226
0.0000 0.3548 0.1774
0.0000 0.6452 0.8226
0.0000 0.8226 0.6452
0.0000 0.1774 0.3548
0.5000 0.7141 0.7141
0.5000 0.2859 0.2859
0.5000 0.0000 0.2859
0.5000 0.0000 0.7141
0.5000 0.2859 0.0000
0.5000 0.7141 0.0000
0.0000 0.5000 0.5000
0.0000 0.0000 0.5000
0.0000 0.5000 0.0000
```

Output
calculated volume: 277.17 Å³ per cell
crystal system: hexagonal
total DFT energy (no corrections): -101.71 eV per cell
E_form: -0.361 eV per atom
magnetization: 0.01 μB per formula unit

---

No. 3
GdTe: optimized geometry, GGA-PBE.

Cell and atoms, written as POSCAR:
```
GdTe
1.0
-3.1269 -3.1269 0.0000
-3.1269 0.0000 -3.1269
0.0000 -3.1269 -3.1269
Gd Te
1 1
direct
0.0000 0.0000 0.0000
0.5000 0.5000 0.5000
```

Output
calculated volume: 61.14 Å³ per cell
crystal system: cubic
total DFT energy (no corrections): -20.04 eV per cell
E_form: -1.623 eV per atom
E (MP2020): -20.5 eV/cell

---

No. 4
CeSm3: optimized geometry, GGA-PBE.

Cell and atoms, written as POSCAR:
```
CeSm3
1.0
-4.7798 -1.6937 -0.2099
1.0778 -3.4796 3.5341
-1.3233 3.2837 3.6367
Ce Sm
1 3
direct
0.0000 0.0000 0.0000
0.0000 0.5000 0.5000
0.5000 0.0000 0.5000
0.5000 0.5000 0.0000
```

Output
calculated volume: 130.74 Å³ per cell
crystal system: cubic
total DFT energy (no corrections): -19.78 eV per cell
E_form: 0.078 eV per atom
magnetization: 0.86 μB per formula unit

---

No. 5
Ca2YBiO6: optimized geometry, GGA-PBE.

Cell and atoms, written as POSCAR:
```
Ca2YBiO6
1.0
0.0000 -4.2658 -4.2658
4.2658 0.0000 -4.2658
4.2658 -4.2658 0.0000
Ca Y Bi O
2 1 1 6
direct
0.2500 0.2500 0.2500
0.7500 0.7500 0.7500
0.5000 0.5000 0.5000
0.0000 0.0000 0.0000
0.7557 0.2443 0.2443
0.2443 0.7557 0.7557
0.7557 0.2443 0.7557
0.2443 0.7557 0.2443
0.7557 0.7557 0.2443
0.2443 0.2443 0.7557
```

Output
calculated volume: 155.25 Å³ per cell
crystal system: cubic
total DFT energy (no corrections): -65.89 eV per cell
E_form: -2.596 eV per atom
magnetization: 0.00 μB per formula unit
E (MP2020): -70.0 eV/cell

---

No. 6
Na3Sb5O14: optimized geometry, GGA-PBE.

Cell and atoms, written as POSCAR:
```
Na3Sb5O14
1.0
-0.8736 -3.7946 -6.1362
6.6174 2.6644 -2.5898
11.4066 -18.6799 9.9276
Na Sb O
12 20 56
direct
0.2293 0.1322 0.0238
0.5797 0.8787 0.1327
0.7144 0.4517 0.2014
0.2144 0.4517 0.2986
0.0797 0.8787 0.3673
0.7293 0.1322 0.4762
0.2707 0.1322 0.5238
0.9203 0.8787 0.6327
0.7856 0.4517 0.7014
0.2856 0.4517 0.7986
0.4203 0.8787 0.8673
0.7707 0.1322 0.9762
0.4178 0.5167 0.0586
0.9025 0.5164 0.0632
0.0994 0.7842 0.1440
0.1065 0.2494 0.1450
0.8104 0.0164 0.2425
0.3104 0.0164 0.2575
0.6065 0.2494 0.3550
0.5994 0.7842 0.3560
0.4025 0.5164 0.4368
0.9178 0.5167 0.4414
0.0822 0.5167 0.5586
0.5975 0.5164 0.5632
0.4006 0.7842 0.6440
0.3935 0.2494 0.6450
0.6896 0.0164 0.7425
0.1896 0.0164 0.7575
0.8935 0.2494 0.8550
0.9006 0.7842 0.8560
0.0975 0.5164 0.9368
0.5822 0.5167 0.9414
0.5000 0.3386 0.0000
0.5000 0.6881 0.0000
0.1622 0.5112 0.0181
0.9512 0.7675 0.0725
0.9516 0.2635 0.0713
0.6590 0.5255 0.0989
0.3327 0.3149 0.1020
0.3351 0.7053 0.1078
0.1802 0.0162 0.1177
0.0205 0.5137 0.1448
0.8612 0.8348 0.1822
0.8712 0.1951 0.1828
0.2454 0.2452 0.2152
0.2410 0.7970 0.2133
0.5480 0.0191 0.2158
0.0480 0.0191 0.2842
0.7410 0.7970 0.2867
0.7454 0.2452 0.2848
0.3712 0.1951 0.3172
0.3612 0.8348 0.3178
0.5205 0.5137 0.3552
0.6802 0.0162 0.3823
0.8351 0.7053 0.3922
0.8327 0.3149 0.3980
0.1590 0.5255 0.4011
0.4516 0.2635 0.4287
0.4512 0.7675 0.4275
0.6622 0.5112 0.4819
0.0000 0.3386 0.5000
0.0000 0.6881 0.5000
0.3378 0.5112 0.5181
0.5488 0.7675 0.5725
0.5484 0.2635 0.5713
0.8410 0.5255 0.5989
0.1673 0.3149 0.6020
0.1649 0.7053 0.6078
0.3198 0.0162 0.6177
0.4795 0.5137 0.6448
0.6388 0.8348 0.6822
0.6288 0.1951 0.6828
0.2546 0.2452 0.7152
0.2590 0.7970 0.7133
0.9520 0.0191 0.7158
0.4520 0.0191 0.7842
0.7590 0.7970 0.7867
0.7546 0.2452 0.7848
0.1288 0.1951 0.8172
0.1388 0.8348 0.8178
0.9795 0.5137 0.8552
0.8198 0.0162 0.8823
0.6649 0.7053 0.8922
0.6673 0.3149 0.8980
0.3410 0.5255 0.9011
0.0484 0.2635 0.9287
0.0488 0.7675 0.9275
0.8378 0.5112 0.9819
```

Output
calculated volume: 1325.56 Å³ per cell
crystal system: orthorhombic
total DFT energy (no corrections): -505.51 eV per cell
E_form: -1.914 eV per atom
magnetization: 0.00 μB per formula unit
E (MP2020): -544.0 eV/cell

---

- The lowest calculated volume belongs to which entry?
  GdTe